(1)
Computed, not measured: a geometry-optimized BeCu structure at the meta-GGA r2SCAN level of DFT.

crystal system = cubic
symmetry = Pm-3m (221)
DFT formation energy = -0.12 eV/atom
ρ = 6.3 g cm⁻³
E_tot = -15.42 eV per cell

Cell lengths 2.672, 2.672, 2.672 Å; angles 90.00, 90.00, 90.00 degrees
Positions (direct):
Be1 0.000 0.000 0.000
Cu1 0.500 0.500 0.500

=====

(2)
Computed, not measured: a geometry-optimized YCu2Si2 structure at the meta-GGA r2SCAN level of DFT.

crystal system = tetragonal
symmetry = I4/mmm (139)
DFT formation energy = -0.63 eV/atom
ρ = 5.8 g cm⁻³
E_tot = -125.39 eV per cell

Cell lengths 3.955, 3.955, 9.944 Å; angles 90.00, 90.00, 90.00 degrees
Positions (direct):
Y1 0.000 0.000 0.000
Y2 0.500 0.500 0.500
Cu1 0.000 0.500 0.250
Cu2 0.000 0.500 0.750
Cu3 0.500 0.000 0.250
Cu4 0.500 0.000 0.750
Si1 0.000 0.000 0.382
Si2 0.000 0.000 0.618
Si3 0.500 0.500 0.118
Si4 0.500 0.500 0.882

=====

(3)
Computed, not measured: a geometry-optimized Ce5Si3 structure at the meta-GGA r2SCAN level of DFT.

crystal system = orthorhombic
symmetry = Fmmm (69)
DFT formation energy = -0.64 eV/atom
ρ = 6.5 g cm⁻³
E_tot = -371.25 eV per cell

Cell lengths 8.553, 8.550, 7.854 Å; angles 62.69, 62.64, 54.67 degrees
Positions (direct):
Ce1 0.000 0.000 0.500
Ce2 0.030 0.666 0.334
Ce3 0.165 0.529 0.835
Ce4 0.334 0.970 0.030
Ce5 0.471 0.835 0.529
Ce6 0.500 0.500 0.000
Ce7 0.529 0.165 0.471
Ce8 0.666 0.030 0.970
Ce9 0.835 0.471 0.165
Ce10 0.970 0.334 0.666
Si1 0.112 0.888 0.888
Si2 0.250 0.250 0.250
Si3 0.388 0.612 0.388
Si4 0.612 0.388 0.612
Si5 0.750 0.750 0.750
Si6 0.888 0.112 0.112